VASP calculation (PBE+U) on a geometry-optimized Mn12O7F17 structure.

Geometry as POSCAR:
```
Mn12O7F17
1.0
-1.1612 2.1309 4.1476
-0.2353 -5.0364 2.8696
15.3104 1.1330 3.9092
Mn O F
12 7 17
Cartesian
5.2071 1.8379 6.1700
3.4123 -3.9110 3.4285
1.0806 -0.6959 0.7859
11.4897 -0.0209 3.7229
8.7035 -3.4195 4.7717
12.6893 -1.1538 10.1595
8.3264 -0.0442 5.3331
13.5089 0.3855 6.5884
3.2868 -0.2758 4.1562
0.5486 -2.1420 4.2123
5.6576 -1.7810 5.5889
10.7634 -1.3045 6.8363
14.5546 0.8881 4.9709
1.4646 -3.8464 4.0109
6.7065 -3.4537 5.2735
9.3740 -1.6316 5.4331
11.9849 -0.4857 5.6082
-0.4784 -0.4114 4.1274
4.7478 0.0108 5.5475
4.4137 0.2269 2.4467
9.4887 0.7212 3.7973
11.8526 -3.0748 6.7270
1.8891 -1.2624 2.8413
4.3128 -2.1778 4.1241
6.9469 -0.8524 4.0125
14.5421 -1.4681 6.6152
1.9973 -1.3507 5.5245
7.0530 -0.9636 6.8186
12.1481 -0.6018 8.1690
9.5304 0.5219 6.8624
1.8738 1.2432 4.3569
7.2330 1.6487 5.5611
4.2946 -2.4913 7.1003
-0.6720 -2.8323 5.6789
12.1698 1.9924 6.8199
9.5100 -1.8618 8.3458
```

Results
Formation enthalpy at 0 K in eV/atom: -2.5507
DFT total energy in eV per cell: -236.3
Energy relative to the lowest polymorph listed for this composition in meV per atom: 26
MP2020-corrected energy in eV/cell: -269.0


VASP calculation (PBE+U) on a geometry-optimized Li6Co2OF11 structure.

Geometry as POSCAR:
```
Li6Co2OF11
1.0
5.1270 0.0127 -0.0010
-2.5606 1.5150 4.5691
2.5453 -7.1668 4.4332
Li Co O F
6 2 1 11
Cartesian
-0.1261 -0.0532 1.9596
0.1278 -2.7473 6.5091
-0.1059 0.1626 4.8208
2.6659 -4.3141 4.7554
5.0867 -2.8963 2.6338
5.0654 -5.6746 4.0457
2.5602 -1.3239 4.3645
5.1139 -5.7077 6.8702
1.8815 -0.0040 3.4570
0.7331 -1.5952 1.1098
0.7729 -4.4217 5.5965
1.0116 -1.2651 5.5025
1.8143 -2.7912 3.4353
1.7043 -5.7875 7.8005
3.3045 -2.5898 5.6010
3.2865 0.1889 1.1349
3.5400 -5.7925 5.7206
4.0498 -4.2826 3.3402
4.2520 -1.2601 3.4331
4.3484 -4.2735 7.7956
```

Results
Formation enthalpy at 0 K in eV/atom: -2.6222
DFT total energy in eV per cell: -95.1
Energy relative to the lowest polymorph listed for this composition in meV per atom: 0
MP2020-corrected energy in eV/cell: -104.1


VASP calculation (PBE+U) on a geometry-optimized Er4Mo4O11 structure.

Geometry as POSCAR:
```
Er4Mo4O11
1.0
-1.4574 0.7428 -5.4629
-10.3468 -1.2361 2.5922
-1.2560 15.6905 2.4685
Er Mo O
16 16 44
Cartesian
-7.0874 8.2967 3.0188
-4.5155 6.1578 2.0419
-2.3480 14.3370 2.5758
-9.2548 0.1175 2.4849
-5.0988 11.0540 2.8632
-6.5041 3.4005 2.1974
-10.3066 10.8665 4.2270
-1.2962 3.5880 0.8336
-5.8680 9.2433 -0.1541
-7.1921 5.9539 -0.2482
-11.4212 13.3690 1.8882
-1.6390 1.8283 -2.2905
-3.6127 12.3339 -0.3356
-9.4475 2.8633 -0.0667
-8.7184 10.8707 0.8275
-4.3417 4.3265 -1.2298
-10.1851 7.6667 3.7595
-1.4178 6.7878 1.3011
-5.4869 14.2220 3.3975
-6.1159 0.2325 1.6632
-10.7976 8.2197 1.0218
-2.2625 6.9776 -1.4240
-6.0729 14.4427 0.6075
-6.9873 0.7546 -1.0098
-9.8572 5.6335 1.7589
-2.5470 9.2295 0.2977
-4.9276 1.4375 -2.8060
-8.7885 14.0941 -0.0551
-3.2029 9.5638 -2.1612
-10.5132 5.9678 -0.7000
-8.1325 13.7598 2.4037
-4.2717 1.1032 -0.3472
-0.3579 0.1824 -1.3417
-6.9008 7.7876 -1.5909
-1.0994 0.5604 -4.1212
-6.1593 7.4097 1.1886
-3.0662 7.9130 1.8939
-8.5366 6.5415 3.1668
-8.8107 14.4291 4.3123
-2.7921 0.0254 0.7483
-1.3189 10.2188 1.7413
-10.2839 4.2357 3.3194
-6.7308 12.5804 3.5061
-4.8720 1.8741 1.5545
-3.9463 8.1206 -0.8195
-9.1139 7.0767 0.4172
-9.7139 14.9253 1.6444
-3.3463 0.2720 -2.0467
-1.9933 10.7931 -0.9771
-11.0669 4.4042 0.5748
-5.3977 13.6730 -1.2409
-7.3741 12.7656 0.7266
-10.5087 1.7013 1.5618
-1.8153 13.1207 0.7954
-6.2666 5.1318 -2.1103
-7.5298 10.4406 -1.0515
-2.5515 13.4959 -1.9641
-11.2449 2.0765 -1.1977
-6.7936 10.0654 1.7080
-5.5304 4.7566 0.6492
-7.6625 1.5242 0.8386
-4.6321 13.2828 1.6289
-3.5303 5.9758 -2.7856
-10.2954 9.6117 -0.4865
-2.9125 2.6671 -0.4336
-9.4606 12.1800 2.6067
-8.9613 4.7516 -1.3428
-4.7859 10.7958 -1.6348
-10.1477 12.5302 0.0313
-3.5996 3.0172 -3.0090
-4.0989 10.4456 0.9405
-8.2742 4.4015 1.2325
-2.7648 5.5856 0.0842
-9.5299 9.2215 2.3833
-8.4281 1.9144 -2.0312
-5.6861 2.4316 -1.1289
```

Results
Formation enthalpy at 0 K in eV/atom: -2.7371
DFT total energy in eV per cell: -590.9
MP2020-corrected energy in eV/cell: -672.3


VASP calculation (PBE+U) on a geometry-optimized KPrW2O8 structure.

Geometry as POSCAR:
```
KPrW2O8
1.0
5.5001 5.2063 0.0000
-5.5001 5.2063 0.0000
0.0000 4.4688 6.1816
K Pr W O
2 2 4 16
Cartesian
0.0000 9.2960 2.9198
0.0000 5.5854 3.2618
2.1979 5.2063 0.0000
-2.1979 5.2063 0.0000
0.0000 2.3836 0.3480
0.0000 12.4978 5.8336
3.7323 7.4407 3.0908
-3.7323 7.4407 3.0908
1.3788 3.4525 1.6064
-1.3788 11.4289 4.5752
1.3788 11.4289 4.5752
-1.3788 3.4525 1.6064
2.6302 6.3095 2.1920
-2.6302 8.5719 3.9897
2.6302 8.5719 3.9897
-2.6302 6.3095 2.1920
-1.3909 8.9503 0.3940
1.3909 5.9311 5.7876
-1.3909 5.9311 5.7876
1.3909 8.9503 0.3940
0.0000 11.7822 2.1280
0.0000 3.0991 4.0537
0.0000 6.4622 0.6807
0.0000 8.4192 5.5009
```

Results
Formation enthalpy at 0 K in eV/atom: -2.6537
DFT total energy in eV per cell: -177.7
MP2020-corrected energy in eV/cell: -206.5


VASP calculation (PBE+U) on a geometry-optimized Mn3SbP4O16 structure.

Geometry as POSCAR:
```
Mn3SbP4O16
1.0
-7.3793 -2.9421 0.4714
2.6464 -8.0919 -5.3686
0.4065 -4.1480 6.7784
Mn Sb P O
6 2 8 32
Cartesian
-1.0638 -8.3434 -1.3543
-4.5556 -11.8943 2.2739
-4.6295 -10.4467 -1.6125
-3.7553 -4.1544 0.1237
0.1145 -4.7818 3.3017
-0.6667 -11.0317 1.6256
-3.3740 -6.7976 3.1636
0.0283 -3.2020 -0.4931
0.2929 -5.6821 -2.6640
-3.1726 -9.2886 0.9208
-1.6993 -5.4940 6.0483
-5.6915 -5.0042 2.6888
-2.5339 -9.5046 -3.9117
1.3498 -10.1163 -0.7488
-4.7110 -9.6751 4.4888
-1.0890 -5.9925 0.7229
-0.3986 -4.3825 -2.0578
-3.8592 -8.0286 1.4923
-2.3194 -5.5955 -0.0489
-5.9263 -9.2613 3.7012
-1.4197 -9.4924 -2.8292
2.4640 -10.1049 0.3343
0.7651 -12.4172 1.6475
-3.3668 -11.8853 -1.8051
-4.9695 -2.5872 0.5252
-1.0766 -3.1891 3.6785
-2.7710 -5.5217 4.9908
-6.7915 -5.0664 1.5705
-1.9340 -9.6011 1.8060
1.5317 -6.0292 -1.8127
-4.0272 -10.8903 3.8401
-0.4836 -7.2877 0.1554
1.0451 -9.5516 2.6295
-2.7880 -9.0588 -0.5721
-0.7560 -6.8221 -2.6991
-4.1811 -10.4755 0.8759
-0.2048 -5.5608 5.4200
-4.2511 -4.9494 2.0872
-1.9465 -2.7706 0.0301
-5.6133 -6.3344 3.5035
-2.1554 -12.3033 2.0670
1.2847 -8.7495 -1.5428
-3.9802 -9.5411 -3.2702
-0.0753 -10.1876 -0.0959
-3.6955 -8.5266 4.7435
0.0381 -4.8062 0.6946
-5.5072 -5.8836 -0.7405
-1.3056 -6.0966 2.2580
```

Results
Formation enthalpy at 0 K in eV/atom: -2.4000
DFT total energy in eV per cell: -348.1
Energy relative to the lowest polymorph listed for this composition in meV per atom: 0
MP2020-corrected energy in eV/cell: -380.1


VASP calculation (PBE+U) on a geometry-optimized Sr4MgFe4O10 structure.

Geometry as POSCAR:
```
Sr4MgFe4O10
1.0
1.1143 -2.5169 -4.9485
1.8053 -5.1371 2.2640
-8.9480 0.5086 0.7257
Sr Mg Fe O
4 1 4 10
Cartesian
-4.8076 -5.1747 0.7509
-0.9738 -1.3316 -2.3773
-5.1672 -3.9981 -3.1145
-0.5068 -3.5359 1.0101
-1.3153 -3.9243 -3.3034
-5.7930 -7.0326 -1.7994
-7.4211 -3.2186 -0.7269
-2.3099 -5.6388 -1.6483
-3.6024 -2.3231 -0.6571
0.5721 -3.2437 -3.1863
-6.5352 -5.2069 -1.2814
-8.2186 -1.2225 0.1733
-7.1034 -3.8657 1.2637
-3.9291 -6.5878 -1.4235
-2.5765 -0.7551 -0.3110
-5.4719 -2.1882 -0.6610
-0.5918 -4.9073 -1.3831
-3.1140 -3.2271 1.0350
-2.8815 -3.2387 -2.2047
```

Results
Formation enthalpy at 0 K in eV/atom: -2.2810
DFT total energy in eV per cell: -119.2
Energy relative to the lowest polymorph listed for this composition in meV per atom: 21
MP2020-corrected energy in eV/cell: -135.1


Please write out number 3 again, unchanged.
VASP calculation (PBE+U) on a geometry-optimized Er4Mo4O11 structure.

Geometry as POSCAR:
```
Er4Mo4O11
1.0
-1.4574 0.7428 -5.4629
-10.3468 -1.2361 2.5922
-1.2560 15.6905 2.4685
Er Mo O
16 16 44
Cartesian
-7.0874 8.2967 3.0188
-4.5155 6.1578 2.0419
-2.3480 14.3370 2.5758
-9.2548 0.1175 2.4849
-5.0988 11.0540 2.8632
-6.5041 3.4005 2.1974
-10.3066 10.8665 4.2270
-1.2962 3.5880 0.8336
-5.8680 9.2433 -0.1541
-7.1921 5.9539 -0.2482
-11.4212 13.3690 1.8882
-1.6390 1.8283 -2.2905
-3.6127 12.3339 -0.3356
-9.4475 2.8633 -0.0667
-8.7184 10.8707 0.8275
-4.3417 4.3265 -1.2298
-10.1851 7.6667 3.7595
-1.4178 6.7878 1.3011
-5.4869 14.2220 3.3975
-6.1159 0.2325 1.6632
-10.7976 8.2197 1.0218
-2.2625 6.9776 -1.4240
-6.0729 14.4427 0.6075
-6.9873 0.7546 -1.0098
-9.8572 5.6335 1.7589
-2.5470 9.2295 0.2977
-4.9276 1.4375 -2.8060
-8.7885 14.0941 -0.0551
-3.2029 9.5638 -2.1612
-10.5132 5.9678 -0.7000
-8.1325 13.7598 2.4037
-4.2717 1.1032 -0.3472
-0.3579 0.1824 -1.3417
-6.9008 7.7876 -1.5909
-1.0994 0.5604 -4.1212
-6.1593 7.4097 1.1886
-3.0662 7.9130 1.8939
-8.5366 6.5415 3.1668
-8.8107 14.4291 4.3123
-2.7921 0.0254 0.7483
-1.3189 10.2188 1.7413
-10.2839 4.2357 3.3194
-6.7308 12.5804 3.5061
-4.8720 1.8741 1.5545
-3.9463 8.1206 -0.8195
-9.1139 7.0767 0.4172
-9.7139 14.9253 1.6444
-3.3463 0.2720 -2.0467
-1.9933 10.7931 -0.9771
-11.0669 4.4042 0.5748
-5.3977 13.6730 -1.2409
-7.3741 12.7656 0.7266
-10.5087 1.7013 1.5618
-1.8153 13.1207 0.7954
-6.2666 5.1318 -2.1103
-7.5298 10.4406 -1.0515
-2.5515 13.4959 -1.9641
-11.2449 2.0765 -1.1977
-6.7936 10.0654 1.7080
-5.5304 4.7566 0.6492
-7.6625 1.5242 0.8386
-4.6321 13.2828 1.6289
-3.5303 5.9758 -2.7856
-10.2954 9.6117 -0.4865
-2.9125 2.6671 -0.4336
-9.4606 12.1800 2.6067
-8.9613 4.7516 -1.3428
-4.7859 10.7958 -1.6348
-10.1477 12.5302 0.0313
-3.5996 3.0172 -3.0090
-4.0989 10.4456 0.9405
-8.2742 4.4015 1.2325
-2.7648 5.5856 0.0842
-9.5299 9.2215 2.3833
-8.4281 1.9144 -2.0312
-5.6861 2.4316 -1.1289
```

Results
Formation enthalpy at 0 K in eV/atom: -2.7371
DFT total energy in eV per cell: -590.9
MP2020-corrected energy in eV/cell: -672.3


- DFT total energy of number 2 (Li6Co2OF11)?
  -95.1 eV per cell